# PBE-GGA Ta3GaSi3S3O24, optimized geometry
# Total energy after the MP2020 corrections, eV per atom: -8.134
# E_tot, eV per atom: -7.6490
data_Ta3GaSi3S3O24
_chemical_formula_sum 'Ta9 Ga3 Si9 S9 O72'
_symmetry_space_group_name_H-M 'P 1'
_symmetry_Int_Tables_number 1
_symmetry_space_group_name_Hall 'P 1'
_cell_length_a 8.794
_cell_length_b 8.831
_cell_length_c 22.700
_cell_angle_alpha 88.99
_cell_angle_beta 89.13
_cell_angle_gamma 60.18
loop_
_atom_site_label
_atom_site_type_symbol
_atom_site_fract_x
_atom_site_fract_y
_atom_site_fract_z
Ta1 Ta 0.000 0.000 0.000
Ta2 Ta 0.002 0.001 0.504
Ta3 Ta 0.010 0.984 0.716
Ta4 Ta 0.327 0.346 0.839
Ta5 Ta 0.332 0.325 0.333
Ta6 Ta 0.350 0.319 0.049
Ta7 Ta 0.666 0.670 0.167
Ta8 Ta 0.675 0.653 0.668
Ta9 Ta 0.984 0.019 0.217
Ga1 Ga 0.317 0.348 0.552
Ga2 Ga 0.663 0.682 0.889
Ga3 Ga 0.681 0.656 0.375
Si1 Si 0.006 0.279 0.608
Si2 Si 0.278 0.999 0.108
Si3 Si 0.288 0.704 0.608
Si4 Si 0.341 0.620 0.943
Si5 Si 0.619 0.039 0.941
Si6 Si 0.669 0.938 0.278
Si7 Si 0.713 0.286 0.108
Si8 Si 0.939 0.386 0.279
Si9 Si 0.940 0.662 0.780
S1 S 0.000 0.711 0.109
S2 S 0.038 0.618 0.444
S3 S 0.041 0.335 0.943
S4 S 0.338 0.040 0.444
S5 S 0.376 0.667 0.278
S6 S 0.378 0.951 0.777
S7 S 0.611 0.336 0.444
S8 S 0.666 0.375 0.776
S9 S 0.706 0.003 0.609
O1 O 0.018 0.161 0.666
O2 O 0.021 0.796 0.452
O3 O 0.026 0.788 0.163
O4 O 0.031 0.171 0.949
O5 O 0.120 0.509 0.496
O6 O 0.122 0.359 0.996
O7 O 0.137 0.492 0.786
O8 O 0.138 0.362 0.290
O9 O 0.149 0.535 0.101
O10 O 0.153 0.539 0.391
O11 O 0.155 0.302 0.889
O12 O 0.158 0.803 0.665
O13 O 0.162 0.016 0.167
O14 O 0.162 0.807 0.953
O15 O 0.168 0.030 0.450
O16 O 0.176 0.293 0.596
O17 O 0.184 0.837 0.551
O18 O 0.189 0.966 0.052
O19 O 0.195 0.974 0.767
O20 O 0.198 0.813 0.268
O21 O 0.290 0.175 0.099
O22 O 0.297 0.528 0.885
O23 O 0.302 0.157 0.390
O24 O 0.313 0.516 0.598
O25 O 0.353 0.128 0.783
O26 O 0.353 0.497 0.999
O27 O 0.359 0.505 0.288
O28 O 0.361 0.121 0.495
O29 O 0.444 0.842 0.829
O30 O 0.449 0.697 0.331
O31 O 0.470 0.701 0.623
O32 O 0.472 0.830 0.121
O33 O 0.481 0.864 0.434
O34 O 0.483 0.871 0.723
O35 O 0.487 0.629 0.225
O36 O 0.494 0.139 0.999
O37 O 0.499 0.142 0.290
O38 O 0.505 0.356 0.497
O39 O 0.505 0.358 0.782
O40 O 0.513 0.626 0.927
O41 O 0.518 0.168 0.884
O42 O 0.518 0.308 0.102
O43 O 0.530 0.306 0.391
O44 O 0.536 0.153 0.600
O45 O 0.627 0.859 0.220
O46 O 0.632 0.489 0.722
O47 O 0.632 0.490 0.435
O48 O 0.635 0.854 0.938
O49 O 0.688 0.837 0.339
O50 O 0.689 0.477 0.122
O51 O 0.691 0.842 0.618
O52 O 0.696 0.448 0.828
O53 O 0.789 0.027 0.662
O54 O 0.789 0.173 0.451
O55 O 0.798 0.163 0.168
O56 O 0.806 0.030 0.954
O57 O 0.816 0.199 0.764
O58 O 0.818 0.690 0.835
O59 O 0.823 0.965 0.556
O60 O 0.827 0.454 0.338
O61 O 0.828 0.471 0.619
O62 O 0.835 0.190 0.052
O63 O 0.838 0.696 0.116
O64 O 0.839 0.960 0.266
O65 O 0.848 0.641 0.720
O66 O 0.855 0.505 0.220
O67 O 0.863 0.639 0.436
O68 O 0.867 0.482 0.935
O69 O 0.962 0.189 0.551
O70 O 0.964 0.834 0.765
O71 O 0.966 0.822 0.056
O72 O 0.976 0.187 0.268


# PBE-GGA Li2CuH4O4, optimized geometry
# Total energy after the MP2020 corrections, eV per atom: -5.169
# E_tot, eV per atom: -4.9188
data_Li2CuH4O4
_chemical_formula_sum 'Li8 Cu4 H16 O16'
_symmetry_space_group_name_H-M 'P n a 21'
_symmetry_Int_Tables_number 33
_symmetry_space_group_name_Hall 'P 2c -2n'
_cell_length_a 6.352
_cell_length_b 6.395
_cell_length_c 8.460
_cell_angle_alpha 90.00
_cell_angle_beta 90.00
_cell_angle_gamma 90.00
loop_
_atom_site_label
_atom_site_type_symbol
_atom_site_fract_x
_atom_site_fract_y
_atom_site_fract_z
Li1 Li 0.012 0.200 0.000
Li2 Li 0.248 0.492 0.248
Cu1 Cu 0.241 0.494 0.751
H1 H 0.003 0.765 0.846
H2 H 0.008 0.761 0.156
H3 H 0.086 0.475 0.499
H4 H 0.247 0.667 0.999
O1 O 0.027 0.274 0.765
O2 O 0.043 0.212 0.238
O3 O 0.225 0.515 0.989
O4 O 0.240 0.481 0.512


# PBE-GGA Dy4Fe29Si5, optimized geometry
# Total energy after the MP2020 corrections, eV per atom: -7.773
# E_tot, eV per atom: -7.7820
data_Dy4Fe29Si5
_chemical_formula_sum 'Dy4 Fe29 Si5'
_symmetry_space_group_name_H-M 'P -1'
_symmetry_Int_Tables_number 2
_symmetry_space_group_name_Hall '-P 1'
_cell_length_a 6.365
_cell_length_b 6.371
_cell_length_c 12.741
_cell_angle_alpha 82.43
_cell_angle_beta 81.35
_cell_angle_gamma 82.41
loop_
_atom_site_label
_atom_site_type_symbol
_atom_site_fract_x
_atom_site_fract_y
_atom_site_fract_z
Dy1 Dy 0.151 0.162 0.327
Dy2 Dy 0.156 0.154 0.826
Fe1 Fe 0.000 0.500 0.000
Fe2 Fe 0.000 0.500 0.500
Fe3 Fe 0.154 0.666 0.328
Fe4 Fe 0.161 0.162 0.078
Fe5 Fe 0.161 0.655 0.830
Fe6 Fe 0.167 0.163 0.574
Fe7 Fe 0.188 0.815 0.499
Fe8 Fe 0.196 0.805 0.999
Fe9 Fe 0.199 0.501 0.150
Fe10 Fe 0.207 0.499 0.646
Fe11 Fe 0.345 0.841 0.169
Fe12 Fe 0.350 0.835 0.667
Fe13 Fe 0.495 0.815 0.346
Fe14 Fe 0.498 0.503 0.250
Fe15 Fe 0.500 0.000 0.000
Fe16 Fe 0.500 0.197 0.153
Si1 Si 0.388 0.428 0.444
Si2 Si 0.398 0.400 0.950
Si3 Si 0.500 0.000 0.500


# PBE-GGA Ca11Te2N10, optimized geometry
# Total energy after the MP2020 corrections, eV per atom: -5.618
# E_tot, eV per atom: -5.4615
data_Ca11Te2N10
_chemical_formula_sum 'Ca22 Te4 N20'
_symmetry_space_group_name_H-M 'P 42/m n m'
_symmetry_Int_Tables_number 136
_symmetry_space_group_name_Hall '-P 4n 2n'
_cell_length_a 15.084
_cell_length_b 15.084
_cell_length_c 3.785
_cell_angle_alpha 90.00
_cell_angle_beta 90.00
_cell_angle_gamma 90.00
loop_
_atom_site_label
_atom_site_type_symbol
_atom_site_fract_x
_atom_site_fract_y
_atom_site_fract_z
Ca1 Ca 0.000 0.000 0.000
Ca2 Ca 0.022 0.207 0.500
Ca3 Ca 0.101 0.612 0.500
Ca4 Ca 0.190 0.810 0.000
Te1 Te 0.202 0.202 0.000
N1 N 0.031 0.685 0.000
N2 N 0.071 0.929 0.500
N3 N 0.107 0.107 0.000
N4 N 0.131 0.869 0.500


# PBE-GGA US2, optimized geometry
# Total energy after the MP2020 corrections, eV per atom: -8.224
# E_tot, eV per atom: -7.8884
data_US2
_chemical_formula_sum 'U4 S8'
_symmetry_space_group_name_H-M 'P n m a'
_symmetry_Int_Tables_number 62
_symmetry_space_group_name_Hall '-P 2ac 2n'
_cell_length_a 7.026
_cell_length_b 4.055
_cell_length_c 8.458
_cell_angle_alpha 90.00
_cell_angle_beta 90.00
_cell_angle_gamma 90.00
loop_
_atom_site_label
_atom_site_type_symbol
_atom_site_fract_x
_atom_site_fract_y
_atom_site_fract_z
U1 U 0.250 0.250 0.122
S1 S 0.030 0.250 0.834
S2 S 0.140 0.250 0.430


# PBE-GGA MgTiCuP3O12, optimized geometry
# Total energy after the MP2020 corrections, eV per atom: -7.582
# E_tot, eV per atom: -7.1240
data_MgTiCuP3O12
_chemical_formula_sum 'Mg6 Ti6 Cu6 P18 O72'
_symmetry_space_group_name_H-M 'R 3 c'
_symmetry_Int_Tables_number 161
_symmetry_space_group_name_Hall 'R 3 -2"c'
_cell_length_a 8.6021
_cell_length_b 8.6021
_cell_length_c 20.6343
_cell_angle_alpha 90.00
_cell_angle_beta 90.00
_cell_angle_gamma 120.00
loop_
_atom_site_label
_atom_site_type_symbol
_atom_site_fract_x
_atom_site_fract_y
_atom_site_fract_z
Mg1 Mg 0.0000 0.0000 0.0000
Ti1 Ti 0.0000 0.0000 0.3526
Cu1 Cu 0.0000 0.0000 0.1408
P1 P 0.0388 0.3716 0.4121
O1 O 0.0034 0.1887 0.8059
O2 O 0.0191 0.1824 0.4218
O3 O 0.1339 0.4632 0.3497
O4 O 0.1685 0.4824 0.7387


Record order is preserved below.
ΔE_f: -2.662; -1.416; -0.110; -0.761; -1.702; -2.626 eV per atom